Here is an optimized crystal structure of K2UMo3O12 from the Materials Project. Energies are from PBE with a Hubbard U.

formation energy from the elements = -2365 meV/atom
symmetry = C2/c, No. 15
electronic total energy = -260.278 eV for the cell shown

abc: 10.8903 10.8903 5.2949
angles: 79.14 79.14 68.82
Atoms (fractional coordinates):
O 0.9040 0.5076 0.7439
O 0.8591 0.9931 0.9251
O 0.7394 0.6967 0.3769
O 0.5287 0.6117 0.3694
O 0.7258 0.1917 0.5244
O 0.9931 0.8591 0.4251
O 0.5076 0.9040 0.2439
O 0.6117 0.5287 0.8694
O 0.4713 0.3883 0.6306
O 0.4924 0.0960 0.7561
O 0.1917 0.7258 0.0244
O 0.4234 0.7821 0.9082
O 0.7821 0.4234 0.4082
O 0.2179 0.5766 0.5918
O 0.6967 0.7394 0.8769
O 0.2742 0.8083 0.4756
O 0.3033 0.2606 0.1231
O 0.5766 0.2179 0.0918
O 0.8083 0.2742 0.9756
O 0.1409 0.0069 0.0749
O 0.0960 0.4924 0.2561
O 0.2606 0.3033 0.6231
O 0.0069 0.1409 0.5749
O 0.3883 0.4713 0.1306
Mo 0.8505 0.1495 0.7500
Mo 0.1495 0.8505 0.2500
Mo 0.4473 0.2438 0.8865
Mo 0.7562 0.5527 0.6135
Mo 0.2438 0.4473 0.3865
Mo 0.5527 0.7562 0.1135
K 0.2895 0.0434 0.5804
K 0.7105 0.9566 0.4196
K 0.9566 0.7105 0.9196
K 0.0434 0.2895 0.0804
U 0.3745 0.6255 0.7500
U 0.6255 0.3745 0.2500